Compound: Li4MnNi3P4O16
Source: the Materials Project
Functional: PBE with a Hubbard U
Structure: optimized geometry

## Properties
- Space group: Pm
- Final energy: -6.5221 eV per atom

Unit cell a=4.7350 b=10.1919 c=5.9726 alpha=90.00 beta=90.00 gamma=89.91
Closest atoms and distances in Å follow each position.
Positions (direct):
Ni  0.5208  0.7766  0.2500  6 O 2.05-2.17
Ni  0.4811  0.2218  0.7500  6 O 2.06-2.16
Ni  0.0195  0.7258  0.7500  6 O 2.07-2.16
O  0.2815  0.1608  0.0433  1 P 1.57
O  0.2087  0.4572  0.2500  1 P 1.55
O  0.8000  0.5503  0.7500  1 P 1.55
O  0.2948  0.9480  0.2500  1 P 1.55
O  0.2260  0.6684  0.0428  1 P 1.57
O  0.2606  0.8994  0.7500  1 P 1.53
O  0.2347  0.3982  0.7500  1 P 1.53
O  0.7404  0.0930  0.2500  1 P 1.53
O  0.7016  0.0474  0.7500  1 P 1.55
O  0.7635  0.6013  0.2500  1 P 1.53
O  0.7670  0.3367  0.9535  1 P 1.57
O  0.7254  0.8345  0.5440  1 P 1.57
O  0.7254  0.8345  0.9560  1 P 1.57
O  0.2260  0.6684  0.4572  1 P 1.57
O  0.2815  0.1608  0.4567  1 P 1.57
O  0.7670  0.3367  0.5465  1 P 1.57
P  0.0876  0.5985  0.2500  4 O 1.53-1.57
P  0.5842  0.9052  0.7500  4 O 1.53-1.57
P  0.4175  0.0894  0.2500  4 O 1.53-1.57
P  0.9113  0.4070  0.7500  4 O 1.53-1.57
Li  0.4989  0.5022  0.9995  6 O 2.08-2.22
Li  0.0004  0.9983  0.0000  6 O 2.11-2.18
Li  0.4989  0.5022  0.5005  6 O 2.08-2.22
Li  0.0004  0.9983  0.5000  6 O 2.11-2.18
Mn  0.9752  0.2789  0.2500  6 O 2.11-2.25